No. 1
Entry from the Materials Project: a relaxed Na5Cr3F14 crystal (PBE with a Hubbard U).

Summary:
**ΔH_f (0 K)**: -3.061 eV/atom
**Magnetization**: 9.0 μB/f.u.
**Space group**: P2_1/c

POSCAR file:
```
Na5Cr3F14
1.0
7.4040 0.0000 0.0000
0.0000 7.3549 0.0000
-7.2506 0.0000 10.6784
Na Cr F
10 6 28
Cartesian
0.0000 0.0000 0.0000
-3.6253 3.6774 5.3392
-5.2201 1.7364 7.9314
-1.5948 1.9410 2.5922
1.7813 5.1631 2.6882
-1.8440 5.8692 8.0274
1.9974 1.4856 2.6510
-1.6279 2.1918 7.9902
1.7483 5.4138 8.0862
5.3736 5.6185 2.7470
-3.6253 0.0000 5.3392
0.0000 3.6774 0.0000
3.7020 0.0000 0.0000
0.0767 0.0000 5.3392
3.7020 3.6774 0.0000
0.0767 3.6774 5.3392
-0.2361 4.9127 1.4776
-3.8614 6.1196 6.8168
-3.3178 1.5011 6.5355
0.3075 2.1764 1.1963
-1.4038 3.7515 4.0742
-5.0291 7.2808 9.4135
-5.3871 4.2816 10.6496
-1.7618 6.7507 5.3104
-0.0145 0.3267 3.4467
-3.6398 3.3507 8.7859
-1.2186 4.1204 6.7150
2.4067 6.9119 1.3758
-0.4570 1.8235 5.7655
3.1683 1.8540 0.4263
-3.0149 5.5009 10.2521
0.6104 5.5314 4.9129
-2.2532 0.4430 9.3026
1.3721 3.2344 3.9634
3.7933 4.0041 1.8925
0.1680 7.0282 7.2317
1.9153 0.6042 5.3680
5.5406 3.0732 0.0288
5.1825 0.0741 1.2650
1.5572 3.6033 6.6042
-0.1541 5.1785 9.4821
3.4712 5.8538 4.1429
4.0148 1.2353 3.8616
0.3895 2.4421 9.2008
```

---

No. 2
Entry from the Materials Project: a relaxed Na5CrP2O8F2 crystal (PBE with a Hubbard U).

Summary:
**ΔH_f (0 K)**: -2.692 eV/atom
**Magnetization**: 3.0 μB/f.u.
**Space group**: P-3

POSCAR file:
```
Na5CrP2O8F2
1.0
10.7158 0.0000 0.0000
-5.3579 9.2801 0.0000
0.0000 0.0000 6.7664
Na Cr P O F
15 3 6 24 6
Cartesian
0.0000 0.0000 0.0000
0.0000 0.0000 3.3832
-2.6789 4.6401 0.0000
-0.1480 2.9324 5.0065
-2.7444 7.9421 5.0065
2.4655 1.5944 1.7600
0.0000 6.1868 3.2771
0.0000 6.1868 6.2749
5.3579 0.0000 0.0000
2.6789 4.6401 0.0000
5.3579 3.0934 0.4916
5.3579 3.0934 3.4894
2.8924 7.6858 5.0065
8.1023 1.3380 1.7600
5.5059 6.3478 1.7600
-2.6789 4.6401 3.3832
5.3579 0.0000 3.3832
2.6789 4.6401 3.3832
-0.0166 3.4205 1.6870
-2.3874 7.5843 1.6870
2.9539 1.7246 5.0795
2.4040 7.5555 1.6870
7.7453 1.6958 5.0795
5.3745 5.8597 5.0795
-2.6919 6.0565 1.9482
-0.0644 1.8744 1.7213
-3.7024 8.3988 1.7213
-0.8518 4.0200 2.8820
-0.4758 3.9963 0.3390
1.5910 0.9930 5.0452
-1.6591 7.6940 0.3390
-1.4505 8.0078 2.8820
1.4588 3.9206 1.9482
4.1248 0.6970 4.8182
3.2230 2.4102 6.4274
3.0555 2.7477 3.8845
2.3024 6.5324 2.8820
2.1349 6.8699 0.3390
1.2331 8.5831 1.9482
3.8991 5.3595 4.8182
6.8084 1.2723 3.8845
7.0170 1.5861 6.4274
3.7669 8.2871 1.7213
5.8337 5.2838 6.4274
6.2097 5.2601 3.8845
9.0603 0.8814 5.0452
5.4223 7.4058 5.0452
8.0498 3.2237 4.8182
-1.8220 5.7793 4.7469
1.2638 4.8126 4.7469
0.5582 7.9683 4.7469
4.7997 1.3118 2.0195
4.0940 4.4676 2.0195
7.1799 3.5008 2.0195
```

---

No. 3
Entry from the Materials Project: a relaxed Na3Cr2P2O8F3 crystal (PBE with a Hubbard U).

Summary:
**ΔH_f (0 K)**: -2.741 eV/atom
**Magnetization**: 6.0 μB/f.u.
**Space group**: P1

POSCAR file:
```
Na3Cr2P2O8F3
1.0
6.4304 0.0000 0.0000
-0.0054 6.4335 0.0000
-3.1166 -3.1428 16.3660
Na Cr P O F
9 6 6 24 9
Cartesian
0.0000 0.0000 0.0000
-1.0159 1.4963 5.4414
0.8796 3.4990 0.0074
-0.5293 0.4284 10.9902
1.0892 4.1975 10.9417
2.4688 3.2123 5.4598
2.7848 -0.2525 5.4476
1.0770 0.1671 16.3097
4.2246 3.5576 10.8982
-0.7660 4.7125 7.4289
-0.7304 -1.7084 14.3697
2.4611 1.4488 1.9591
2.5108 1.4642 8.9741
2.5040 1.5055 12.9156
5.6390 4.6960 3.4519
-0.7441 1.5040 8.2569
-0.7445 1.5705 13.6861
2.4033 4.6940 2.6967
2.4440 4.7124 8.1954
2.4759 -1.6635 13.6523
5.6222 1.4999 2.6190
-2.7362 -1.5558 14.6073
-1.9197 1.4571 12.6712
-0.8126 2.7186 7.3037
-0.7826 0.2781 7.3113
0.4546 1.5706 1.7314
-0.9312 2.7617 14.6422
1.2077 4.5853 3.6840
-0.6537 0.3144 14.5974
0.5161 1.5139 9.1394
1.2379 4.6531 7.2182
2.2937 5.9150 1.7704
2.5003 3.4712 1.7442
0.5066 1.6856 12.7878
1.2569 -1.7718 14.5977
2.4022 -0.5209 9.1571
2.5079 3.4863 9.1469
3.6208 4.7535 3.6585
4.4417 1.4565 1.6206
2.3594 -0.4701 12.6831
2.5986 3.5342 12.7176
3.6497 4.7384 7.2201
5.5311 2.7068 3.5807
4.5120 1.4919 9.2758
5.6416 0.2668 3.5536
-0.8700 4.7257 5.4396
-0.7080 -1.7320 9.3974
-0.7002 -1.7017 12.4094
-0.7815 -1.6002 16.3466
2.5789 1.4644 3.9069
2.6667 1.4692 7.0197
2.4158 1.5976 10.9457
2.5998 1.4342 14.8756
5.7397 4.6462 1.4862
```

---

No. 4
Entry from the Materials Project: a relaxed NaSr2CrF8 crystal (PBE with a Hubbard U).

Summary:
**ΔH_f (0 K)**: -3.654 eV/atom
**Magnetization**: 3.0 μB/f.u.
**Space group**: P2_1/c

POSCAR file:
```
NaSr2CrF8
1.0
7.8826 0.0000 0.0000
0.0000 6.3557 0.0000
-5.6959 0.0000 13.9553
Na Sr Cr F
4 8 4 32
Cartesian
-1.3990 1.1010 6.1499
-4.2469 2.0769 13.1275
6.4336 4.2788 0.8278
3.5856 5.2548 7.8054
-0.3555 1.4040 2.7530
-3.2035 1.7739 9.7307
1.2391 4.1775 4.9646
-1.6089 5.3561 11.9422
3.7955 0.9996 2.0131
0.9476 2.1782 8.9907
5.3902 4.5818 4.2246
2.5422 4.9518 11.2023
1.8624 4.5889 1.3575
-0.9855 4.9447 8.3351
3.1722 1.4110 5.6202
0.3243 1.7668 12.5978
-4.9697 4.4373 13.7382
-2.1218 5.0963 6.7605
-3.6553 0.3440 11.7684
-0.8073 2.8339 4.7908
0.3710 3.9645 2.4772
-2.4769 5.5691 9.4549
-3.2556 3.5310 11.5286
-0.4076 6.0026 4.5509
1.3799 0.1138 1.5419
-1.4681 3.0641 8.5196
-0.5112 0.4441 8.1221
2.3368 2.7337 1.1444
0.5664 4.3563 7.3585
3.4143 5.1773 0.3808
-0.7431 1.4960 10.9456
2.1048 1.6819 3.9680
0.0818 4.6738 9.9873
2.9298 4.8598 3.0097
-1.2277 1.1785 13.5745
1.6203 1.9994 6.5968
-0.1501 3.6220 12.8109
2.6978 5.9116 5.8332
3.6547 3.2917 5.4357
0.8068 6.2419 12.4133
2.5943 0.3531 9.4044
5.4422 2.8247 2.4267
4.6636 0.7867 4.5004
1.8156 2.3912 11.4781
2.9940 3.5219 9.1645
5.8419 6.0117 2.1869
4.3084 1.2595 7.1948
7.1564 1.9184 0.2171
```

---

No. 5
Entry from the Materials Project: a relaxed NaSrCrF6 crystal (PBE with a Hubbard U).

Summary:
**ΔH_f (0 K)**: -3.463 eV/atom
**Magnetization**: 3.0 μB/f.u.
**Space group**: P2_1/c

POSCAR file:
```
NaSrCrF6
1.0
5.6817 0.0000 0.0000
0.0000 9.3648 0.0000
-0.6357 0.0000 9.8244
Na Sr Cr F
4 4 4 24
Cartesian
1.0120 0.4406 3.9064
0.6942 4.2418 8.8185
4.3518 5.1230 1.0058
4.0339 8.9242 5.9180
1.1825 6.3029 5.0041
1.5004 7.7443 0.0919
3.5456 1.6205 9.7324
3.8634 3.0619 4.8202
1.0582 0.7666 7.2284
1.3760 3.9158 2.3162
3.6699 5.4490 7.5082
3.9878 8.5982 2.5960
-0.2463 1.7136 6.1532
0.0715 2.9688 1.2410
-0.3591 0.2679 8.4793
-0.0412 4.4145 3.5671
0.9428 5.5036 1.2354
0.6250 8.5436 6.1476
1.5283 2.2572 8.3520
1.8462 2.4252 3.4398
2.2473 5.8842 8.7663
2.5652 8.1630 3.8541
2.7401 0.2341 1.4597
2.4223 4.4483 6.3718
2.6237 4.9165 3.4525
2.3058 9.1307 8.3647
2.4808 1.2018 5.9703
2.7986 3.4806 1.0581
3.1998 6.9396 6.3845
3.5176 7.1076 1.4724
4.4210 0.8212 3.6768
4.1031 3.8612 8.5890
5.0872 4.9503 6.2572
5.4050 9.0969 1.3451
4.9744 6.3960 8.5834
5.2923 7.6512 3.6712
```

---

No. 6
Entry from the Materials Project: a relaxed Na3Sr4Cr5F26 crystal (PBE with a Hubbard U).

Summary:
**ΔH_f (0 K)**: -3.425 eV/atom
**Magnetization**: 15.0 μB/f.u.
**Space group**: C2/c

POSCAR file:
```
Na3Sr4Cr5F26
1.0
10.1612 -3.7906 0.0000
10.1612 3.7906 0.0000
-9.5258 0.0000 27.7911
Na Sr Cr F
12 16 20 104
Cartesian
3.0168 3.7779 20.8433
5.1165 -0.0012 0.0661
0.3537 0.0012 13.9617
1.6859 0.0579 17.3974
6.4488 -0.0579 3.5018
3.0168 0.0232 20.8433
7.7797 -0.0232 6.9478
4.3478 0.0579 24.2892
9.1107 -0.0579 10.3937
10.4429 -0.0012 13.8294
5.6800 0.0012 27.7249
7.7797 -3.7779 6.9478
-1.8646 1.9152 25.1973
-0.9241 1.5828 20.7426
4.0377 1.9137 14.0767
5.0422 1.5810 9.7153
1.9959 1.9137 27.6099
10.5173 1.5810 4.1802
7.8983 1.9152 16.4893
6.9578 1.5828 20.9440
3.8388 -1.5828 6.8471
2.8983 -1.9152 11.3018
0.2793 -1.5810 23.6109
8.8006 -1.9137 0.1811
5.7544 -1.5810 18.0757
6.7588 -1.9137 13.7144
11.7207 -1.5828 7.0484
12.6612 -1.9152 2.5937
-1.3266 1.6147 16.6927
4.8940 1.8788 6.1237
-5.6618 0.0084 24.6608
-0.8989 -0.0084 10.7653
8.1697 1.6012 0.9562
1.4253 1.9387 23.4188
4.6083 1.9387 18.2678
7.3897 1.6012 12.9393
10.6654 1.8788 7.7719
3.4362 -1.6147 2.7972
7.3603 1.6147 24.9939
0.1311 -1.8788 20.0192
3.4068 -1.6012 14.8517
6.1882 -1.9387 9.5233
9.3712 -1.9387 4.3722
2.6268 -1.6012 26.8348
11.6955 0.0084 17.0258
16.4584 -0.0084 3.1302
5.9025 -1.8788 21.6674
12.1232 -1.6147 11.0984
0.3241 2.3387 17.5337
6.0319 2.8109 4.8433
-1.3832 0.8892 12.3597
3.3718 1.7118 4.9540
9.0624 3.1935 0.3591
-2.9269 0.7151 16.0685
-2.8870 2.0603 27.6522
0.0978 0.1603 4.4130
-1.8998 1.1980 18.5043
1.5991 1.7141 12.9360
2.8544 2.7951 18.1140
-4.6651 -0.1603 18.3085
-4.2209 0.9157 25.4951
7.5434 2.3293 2.7088
6.4971 3.1935 13.5364
-3.4391 0.2569 21.0659
6.3373 1.9999 7.4434
1.5918 1.9920 21.4514
3.1793 2.7951 23.5726
3.8426 0.9410 7.4681
1.3238 -0.2569 7.1703
1.8360 -0.7151 2.1729
1.0805 1.8973 25.3140
-0.2640 1.0310 23.1702
4.3720 0.0611 2.5358
9.5276 2.8109 9.0522
-6.1461 -0.8892 26.2553
3.0054 0.5526 10.8891
-0.3908 -0.0611 16.4313
4.9532 1.8973 16.3725
8.0161 2.3293 11.1867
4.4419 1.9920 20.2351
9.2222 1.9999 6.4521
5.7393 1.1751 12.0146
-0.6327 0.7128 27.1949
0.5420 -0.9157 11.5995
5.6084 0.1277 5.6340
9.8201 1.1751 1.8810
2.5542 0.0870 15.3014
2.8631 -1.1980 4.6088
5.7096 2.3387 24.1529
0.8455 -0.1277 19.5295
7.3171 -0.0870 1.4059
-1.7575 -0.5526 24.7846
8.9206 2.0603 14.0343
-0.9203 -0.9410 21.3637
3.7743 0.1596 18.3487
-1.3911 -1.7118 18.8495
13.9604 1.7141 0.9596
6.6664 0.7128 14.4917
2.2594 0.1596 23.3379
6.2977 1.0310 18.5164
4.4989 -1.0310 9.2746
8.5372 -0.1596 4.4531
4.1302 -0.7128 13.2993
-3.1638 -1.7141 26.8315
12.1877 1.7118 8.9415
7.0222 -0.1596 9.4424
11.7169 0.9410 6.4274
1.8759 -2.0603 13.7567
12.5541 0.5526 3.0064
3.4795 0.0870 26.3852
9.9511 0.1277 8.2615
5.0870 -2.3387 3.6382
7.9335 1.1980 23.1823
8.2424 -0.0870 12.4897
0.9764 -1.1751 25.9101
5.1882 -0.1277 22.1571
10.2546 0.9157 16.1915
11.4293 -0.7128 0.5962
5.0573 -1.1751 15.7765
1.5744 -1.9999 21.3389
6.3547 -1.9920 7.5559
2.7805 -2.3293 16.6043
5.8434 -1.8973 11.4185
11.1874 0.0611 11.3598
7.7912 -0.5526 16.9019
16.9426 0.8892 1.5358
1.2690 -2.8109 18.7388
6.4245 -0.0611 25.2553
11.0606 -1.0310 4.6209
9.7161 -1.8973 2.4770
8.9606 0.7151 25.6181
9.4728 0.2569 20.6207
6.9540 -0.9410 20.3229
7.6172 -2.7951 4.2185
9.2048 -1.9920 6.3396
4.4593 -1.9999 20.3476
14.2357 -0.2569 6.7252
4.2995 -3.1935 14.2547
3.2532 -2.3293 25.0822
15.0175 -0.9157 2.2960
15.4616 0.1603 9.4826
7.9422 -2.7951 9.6771
9.1975 -1.7141 14.8551
12.6964 -1.1980 9.2867
10.6988 -0.1603 23.3781
13.6835 -2.0603 0.1388
13.7235 -0.7151 11.7226
1.7342 -3.1935 27.4319
7.4248 -1.7118 22.8371
12.1797 -0.8892 15.4313
4.7647 -2.8109 22.9477
10.4725 -2.3387 10.2573
```